## TbTh3 (meta-GGA r2SCAN)

Data for crystalline TbTh3 at its relaxed geometry.

Properties
- size of the total moment (μB/cell) = 0.00
- formation energy from the elements (eV/atom) = 0.05

a b c (Å): 5.052 5.052 5.052
angles (deg): 90.00 90.00 90.00
Element x y z (fractional)
1 Tb 0.000 0.000 0.000
2 Th 0.000 0.500 0.500
3 Th 0.500 0.000 0.500
4 Th 0.500 0.500 0.000

=====

## TbTh (meta-GGA r2SCAN)

Data for crystalline TbTh at its relaxed geometry.

Properties
- size of the total moment (μB/cell) = 0.00
- formation energy from the elements (eV/atom) = 0.03

a b c (Å): 6.099 6.099 6.099
angles (deg): 34.16 34.16 34.16
Element x y z (fractional)
1 Tb 0.000 0.000 0.000
2 Th 0.500 0.500 0.500

=====

## Tb2Tl (meta-GGA r2SCAN)

Data for crystalline Tb2Tl at its relaxed geometry.

Properties
- size of the total moment (μB/cell) = 1.79
- formation energy from the elements (eV/atom) = -0.39

a b c (Å): 5.397 5.397 6.710
angles (deg): 90.00 90.00 120.00
Element x y z (fractional)
1 Tb 0.000 0.000 0.000
2 Tb 0.000 0.000 0.500
3 Tb 0.333 0.667 0.250
4 Tb 0.667 0.333 0.750
5 Tl 0.333 0.667 0.750
6 Tl 0.667 0.333 0.250

=====

## TbTl3 (meta-GGA r2SCAN)

Data for crystalline TbTl3 at its relaxed geometry.

Properties
- size of the total moment (μB/cell) = 0.00
- formation energy from the elements (eV/atom) = -0.31

a b c (Å): 4.722 4.722 4.722
angles (deg): 90.00 90.00 90.00
Element x y z (fractional)
1 Tb 0.000 0.000 0.000
2 Tl 0.000 0.500 0.500
3 Tl 0.500 0.000 0.500
4 Tl 0.500 0.500 0.000

=====

## TbTl (meta-GGA r2SCAN)

Data for crystalline TbTl at its relaxed geometry.

Properties
- size of the total moment (μB/cell) = 0.00
- formation energy from the elements (eV/atom) = -0.47

a b c (Å): 3.778 3.778 3.778
angles (deg): 90.00 90.00 90.00
Element x y z (fractional)
1 Tb 0.000 0.000 0.000
2 Tl 0.500 0.500 0.500

=====

## Tb5Tl3 (meta-GGA r2SCAN)

Data for crystalline Tb5Tl3 at its relaxed geometry.

Properties
- size of the total moment (μB/cell) = 0.16
- formation energy from the elements (eV/atom) = -0.45

a b c (Å): 9.002 9.002 6.693
angles (deg): 90.00 90.00 120.00
Element x y z (fractional)
1 Tb 0.000 0.237 0.250
2 Tb 0.000 0.763 0.750
3 Tb 0.237 0.000 0.250
4 Tb 0.237 0.237 0.750
5 Tb 0.333 0.667 0.000
6 Tb 0.333 0.667 0.500
7 Tb 0.667 0.333 0.000
8 Tb 0.667 0.333 0.500
9 Tb 0.763 0.000 0.750
10 Tb 0.763 0.763 0.250
11 Tl 0.000 0.403 0.750
12 Tl 0.000 0.597 0.250
13 Tl 0.403 0.000 0.750
14 Tl 0.403 0.403 0.250
15 Tl 0.597 0.000 0.250
16 Tl 0.597 0.597 0.750

=====

Number 4 is which compound? TbTl3